(1)
A geometry-optimized RbAlF4 structure. Source: the Materials Project database, functional PBE.

Lattice parameters (Å, degrees): 5.215 5.215 6.410 90.00 90.00 90.00
Atoms (fractional coordinates):
1 F 0.715 0.785 0.000
2 F 0.000 0.000 0.721
3 F 0.785 0.285 0.000
4 Al 0.500 0.500 0.000
5 F 0.215 0.715 0.000
6 Rb 0.000 0.500 0.500
7 F 0.000 0.000 0.279
8 Al 0.000 0.000 0.000
9 F 0.285 0.215 0.000
10 F 0.500 0.500 0.279
11 Rb 0.500 0.000 0.500
12 F 0.500 0.500 0.721

Properties
The formation energy is -3.636 eV per atom.

---

(2)
A geometry-optimized RbAlF4 structure. Source: the Materials Project database, functional PBE.

Lattice parameters (Å, degrees): 6.397 7.370 7.379 90.00 90.00 90.00
Atoms (fractional coordinates):
1 Rb 0.519 0.500 0.000
2 F 0.722 0.767 0.747
3 F 0.993 0.717 0.000
4 F 0.722 0.233 0.253
5 F 0.278 0.267 0.753
6 F 0.722 0.767 0.253
7 F 0.278 0.733 0.753
8 F 0.975 0.500 0.283
9 F 0.007 0.217 0.500
10 F 0.993 0.283 0.000
11 Rb 0.516 0.500 0.500
12 Al 0.000 0.750 0.750
13 Rb 0.481 0.000 0.500
14 F 0.007 0.783 0.500
15 Al 0.000 0.250 0.750
16 F 0.722 0.233 0.747
17 F 0.278 0.267 0.247
18 Al 0.000 0.250 0.250
19 Rb 0.484 0.000 0.000
20 Al 0.000 0.750 0.250
21 F 0.025 0.000 0.783
22 F 0.278 0.733 0.247
23 F 0.025 0.000 0.217
24 F 0.975 0.500 0.717

Properties
The formation energy is -3.636 eV per atom.

---

(3)
A geometry-optimized RbAlF4 structure. Source: the Materials Project database, functional PBE.

Lattice parameters (Å, degrees): 10.555 10.555 10.555 111.52 111.52 105.44
Atoms (fractional coordinates):
1 F 0.999 0.656 0.654
2 F 0.781 0.281 0.063
3 F 0.567 0.358 0.924
4 Rb 0.153 0.653 0.183
5 F 0.142 0.933 0.076
6 F 0.940 0.652 0.871
7 F 0.060 0.348 0.129
8 Rb 0.750 0.750 0.000
9 Rb 0.847 0.347 0.817
10 F 0.156 0.499 0.654
11 Rb 0.030 0.847 0.500
12 Rb 0.653 0.470 0.500
13 F 0.719 0.848 0.288
14 F 0.358 0.433 0.791
15 Rb 0.470 0.970 0.817
16 Al 0.923 0.208 0.131
17 Rb 0.347 0.530 0.500
18 Al 0.292 0.577 0.869
19 F 0.219 0.930 0.871
20 Al 0.000 0.500 0.500
21 F 0.499 0.844 0.343
22 Al 0.077 0.792 0.869
23 Al 0.423 0.292 0.716
24 F 0.638 0.138 0.500
25 F 0.844 0.501 0.346
26 Al 0.792 0.923 0.716
27 F 0.440 0.570 0.288
28 F 0.652 0.781 0.712
29 F 0.933 0.858 0.791
30 F 0.781 0.070 0.129
31 F 0.348 0.219 0.288
32 Rb 0.250 0.250 0.000
33 Al 0.577 0.708 0.284
34 Al 0.208 0.077 0.284
35 F 0.152 0.440 0.871
36 F 0.862 0.362 0.500
37 F 0.430 0.719 0.871
38 F 0.501 0.156 0.657
39 Rb 0.530 0.030 0.183
40 F 0.656 0.001 0.657
41 F 0.344 0.999 0.343
42 F 0.930 0.060 0.712
43 F 0.281 0.152 0.712
44 F 0.433 0.642 0.076
45 F 0.067 0.142 0.209
46 F 0.001 0.344 0.346
47 F 0.858 0.067 0.924
48 Rb 0.970 0.153 0.500
49 F 0.362 0.862 0.500
50 Al 0.500 0.000 0.500
51 F 0.848 0.560 0.129
52 F 0.138 0.638 0.500
53 F 0.281 0.219 0.500
54 F 0.719 0.781 0.500
55 F 0.219 0.719 0.937
56 Al 0.708 0.423 0.131
57 F 0.642 0.567 0.209
58 F 0.070 0.940 0.288
59 F 0.570 0.281 0.129
60 F 0.560 0.430 0.712

Properties
The formation energy is -3.637 eV per atom.

---

(4)
A geometry-optimized Rb2Tb3AlF16 structure. Source: the Materials Project database, functional PBE.

Lattice parameters (Å, degrees): 7.571 7.571 13.119 90.00 90.00 120.00
Atoms (fractional coordinates):
1 F 0.812 0.188 0.750
2 F 0.114 0.228 0.079
3 F 0.551 0.449 0.153
4 F 0.114 0.886 0.421
5 F 0.000 0.000 0.750
6 F 0.377 0.188 0.750
7 Rb 0.333 0.667 0.059
8 F 0.000 0.000 0.250
9 F 0.449 0.551 0.653
10 F 0.623 0.812 0.250
11 F 0.114 0.886 0.079
12 Tb 0.172 0.828 0.750
13 F 0.102 0.551 0.847
14 Tb 0.344 0.172 0.250
15 F 0.772 0.886 0.421
16 Tb 0.828 0.172 0.250
17 F 0.886 0.772 0.921
18 Tb 0.828 0.656 0.250
19 F 0.188 0.812 0.250
20 Tb 0.656 0.828 0.750
21 F 0.812 0.623 0.750
22 F 0.228 0.114 0.579
23 Rb 0.667 0.333 0.941
24 F 0.772 0.886 0.079
25 Al 0.000 0.000 0.500
26 Al 0.000 0.000 0.000
27 F 0.228 0.114 0.921
28 F 0.449 0.551 0.847
29 Tb 0.172 0.344 0.750
30 F 0.114 0.228 0.421
31 F 0.886 0.114 0.921
32 Rb 0.667 0.333 0.559
33 F 0.551 0.102 0.153
34 F 0.449 0.898 0.847
35 F 0.551 0.102 0.347
36 F 0.898 0.449 0.153
37 F 0.102 0.551 0.653
38 F 0.886 0.772 0.579
39 F 0.188 0.377 0.250
40 F 0.449 0.898 0.653
41 F 0.898 0.449 0.347
42 Rb 0.333 0.667 0.441
43 F 0.886 0.114 0.579
44 F 0.551 0.449 0.347

Properties
The value obtained for the energy above the most stable polymorph in this dataset is 85 meV/atom. The formation energy is -3.642 eV per atom.

---

Repeat the first record exactly.
A geometry-optimized RbAlF4 structure. Source: the Materials Project database, functional PBE.

Lattice parameters (Å, degrees): 5.215 5.215 6.410 90.00 90.00 90.00
Atoms (fractional coordinates):
1 F 0.715 0.785 0.000
2 F 0.000 0.000 0.721
3 F 0.785 0.285 0.000
4 Al 0.500 0.500 0.000
5 F 0.215 0.715 0.000
6 Rb 0.000 0.500 0.500
7 F 0.000 0.000 0.279
8 Al 0.000 0.000 0.000
9 F 0.285 0.215 0.000
10 F 0.500 0.500 0.279
11 Rb 0.500 0.000 0.500
12 F 0.500 0.500 0.721

Properties
The formation energy is -3.636 eV per atom.